No. 1
Computed, not measured: a relaxed Zn3B2O6 crystal at the PBE level of DFT.

Calculated values
- Excess energy over the best structure of this formula in the dataset: 5.9 meV per atom
- ΔH_f (0 K): -2.2742 eV/atom

```
Zn3B2O6
1.0
-7.8972 1.8365 9.5582
-4.3973 -1.1814 11.6776
3.3390 6.6899 4.0119
O Zn B
24 12 8
direct
0.8365 0.4893 0.8699
0.0970 0.7399 0.9296
0.2410 0.8288 0.3507
0.1583 0.7670 0.6489
0.7288 0.9025 0.7704
0.4893 0.8365 0.3699
0.8936 0.2631 0.5691
0.0969 0.2684 0.2294
0.9008 0.5293 0.5901
0.5017 0.3345 0.7890
0.5293 0.9008 0.0901
0.6703 0.4905 0.2082
0.1607 0.5104 0.6294
0.8288 0.2410 0.8507
0.0969 0.4698 0.9093
0.7670 0.1583 0.1489
0.3345 0.5017 0.2890
0.4905 0.6703 0.7082
0.5104 0.1607 0.1294
0.4698 0.0969 0.4093
0.7399 0.0970 0.4296
0.9025 0.7288 0.2704
0.2684 0.0969 0.7294
0.2631 0.8936 0.0691
0.0988 0.4807 0.4620
0.8093 0.4428 0.3697
0.4807 0.0988 0.9620
0.5552 0.1893 0.6294
0.5168 0.9002 0.5377
0.1893 0.5552 0.1294
0.1277 0.7722 0.4242
0.9002 0.5168 0.0377
0.8752 0.2200 0.0747
0.2200 0.8752 0.5747
0.7722 0.1277 0.9242
0.4428 0.8093 0.8697
0.2540 0.6130 0.7868
0.7361 0.3921 0.7118
0.0004 0.3727 0.7297
0.3921 0.7361 0.2118
0.6130 0.2540 0.2868
0.6269 0.9967 0.2698
0.3727 0.0004 0.2297
0.9967 0.6269 0.7698
```


No. 2
Computed, not measured: a relaxed Cs3In3P4O16 crystal at the PBE level of DFT.

Calculated values
- ΔH_f (0 K): -2.5444 eV/atom

```
Cs3In3P4O16
1.0
5.1029 8.3507 0.0000
-5.1029 8.3507 0.0000
0.0000 0.2635 10.1013
O In Cs P
32 6 6 8
direct
0.4391 0.0932 0.2941
0.3763 0.7428 0.5752
0.3365 0.8341 0.8536
0.1731 0.7538 0.4156
0.7473 0.0183 0.6865
0.0183 0.7473 0.1865
0.7538 0.1731 0.9156
0.0932 0.4391 0.7941
0.8269 0.2462 0.5844
0.2698 0.1584 0.7976
0.2572 0.6237 0.9248
0.2874 0.1273 0.5082
0.7428 0.3763 0.0752
0.6635 0.1659 0.1464
0.5609 0.9068 0.7059
0.8416 0.7302 0.7024
0.1659 0.6635 0.6464
0.1130 0.9463 0.6136
0.2527 0.9817 0.3135
0.6237 0.2572 0.4248
0.0537 0.8870 0.8864
0.1273 0.2874 0.0082
0.8727 0.7126 0.9918
0.2462 0.8269 0.0844
0.8870 0.0537 0.3864
0.7302 0.8416 0.2024
0.9817 0.2527 0.8135
0.1584 0.2698 0.2976
0.9068 0.5609 0.2059
0.7126 0.8727 0.4918
0.9463 0.1130 0.1136
0.8341 0.3365 0.3536
0.3280 0.9651 0.6691
0.9164 0.0836 0.7500
0.9651 0.3280 0.1691
0.0349 0.6720 0.8309
0.0836 0.9164 0.2500
0.6720 0.0349 0.3309
0.3316 0.4438 0.1855
0.6684 0.5562 0.8145
0.4438 0.3316 0.6855
0.5000 0.0000 0.0000
0.5562 0.6684 0.3145
0.0000 0.5000 0.5000
0.2261 0.7949 0.9387
0.1156 0.2833 0.8551
0.7949 0.2261 0.4387
0.2833 0.1156 0.3551
0.7167 0.8844 0.6449
0.2051 0.7739 0.5613
0.7739 0.2051 0.0613
0.8844 0.7167 0.1449
```


No. 3
Computed, not measured: a relaxed MgTi2O4 crystal at the PBE level of DFT.

Calculated values
- Excess energy over the best structure of this formula in the dataset: 132.0 meV per atom
- ΔH_f (0 K): -3.0893 eV/atom

```
MgTi2O4
1.0
1.4560 7.4951 0.0000
-1.4560 7.4951 0.0000
0.0000 6.1445 7.4207
O Ti Mg
8 4 2
direct
0.8480 0.8480 0.1129
0.1671 0.1671 0.1625
0.1520 0.1520 0.8871
0.8329 0.8329 0.8375
0.5333 0.5333 0.7680
0.2111 0.2111 0.4231
0.7889 0.7889 0.5769
0.4667 0.4667 0.2320
0.3701 0.3701 0.9490
0.6299 0.6299 0.0510
0.8505 0.8505 0.3193
0.1495 0.1495 0.6807
0.3358 0.3358 0.6799
0.6642 0.6642 0.3201
```


Computed raw total energy (eV/cell) in order:
-270.9, -333.9, -112.1